DFT (GGA-PBE) results for a geometry-optimized LiAlH34C12N4 structure. Values from VASP.

Quantum ESPRESSO input file:
```
&SYSTEM
  ibrav = 0, nat = 104, ntyp = 5
/
ATOMIC_SPECIES
Li 6.94 Li.upf
Al 26.98 Al.upf
H 1.01 H.upf
C 12.01 C.upf
N 14.01 N.upf
ATOMIC_POSITIONS crystal
Li 0.6667 0.3333 0.0049
Li 0.3333 0.6667 0.5049
Al 0.6667 0.3333 0.3248
Al 0.3333 0.6667 0.8248
H 0.8784 0.4802 0.7715
H 0.5198 0.3981 0.7715
H 0.6019 0.1216 0.7715
H 0.1216 0.5198 0.2715
H 0.4802 0.6019 0.2715
H 0.3981 0.8784 0.2715
H 0.7562 0.4935 0.6756
H 0.5065 0.2627 0.6756
H 0.7373 0.2438 0.6756
H 0.2438 0.5065 0.1756
H 0.4935 0.7373 0.1756
H 0.2627 0.7562 0.1756
H 0.6851 0.6000 0.8380
H 0.4000 0.0851 0.8380
H 0.9149 0.3149 0.8380
H 0.3149 0.4000 0.3380
H 0.6000 0.9149 0.3380
H 0.0851 0.6851 0.3380
H 0.8700 0.6959 0.8119
H 0.3041 0.1741 0.8119
H 0.8259 0.1300 0.8119
H 0.1300 0.3041 0.3119
H 0.6959 0.8259 0.3119
H 0.1741 0.8700 0.3119
H 0.8459 0.7809 0.0312
H 0.2191 0.0651 0.0312
H 0.9349 0.1541 0.0312
H 0.1541 0.2191 0.5312
H 0.7809 0.9349 0.5312
H 0.0651 0.8459 0.5312
H 0.6622 0.6486 0.0287
H 0.3514 0.0136 0.0287
H 0.9864 0.3378 0.0287
H 0.3378 0.3514 0.5287
H 0.6486 0.9864 0.5287
H 0.0136 0.6622 0.5287
H 0.7756 0.6462 0.1439
H 0.3538 0.1294 0.1439
H 0.8706 0.2244 0.1439
H 0.2244 0.3538 0.6439
H 0.6462 0.8706 0.6439
H 0.1294 0.7756 0.6439
H 0.0229 0.7239 0.9873
H 0.2761 0.2990 0.9873
H 0.7010 0.9771 0.9873
H 0.9771 0.2761 0.4873
H 0.7239 0.7010 0.4873
H 0.2990 0.0229 0.4873
H 0.9808 0.5493 0.9462
H 0.4507 0.4315 0.9462
H 0.5685 0.0192 0.9462
H 0.0192 0.4507 0.4462
H 0.5493 0.5685 0.4462
H 0.4315 0.9808 0.4462
H 0.9530 0.5846 0.0967
H 0.4154 0.3684 0.0967
H 0.6316 0.0470 0.0967
H 0.0470 0.4154 0.5967
H 0.5846 0.6316 0.5967
H 0.3684 0.9530 0.5967
H 0.6667 0.3333 0.1762
H 0.3333 0.6667 0.6762
H 0.7993 0.4848 0.3709
H 0.5152 0.3145 0.3709
H 0.6855 0.2007 0.3709
H 0.2007 0.5152 0.8709
H 0.4848 0.6855 0.8709
H 0.3145 0.7993 0.8709
C 0.7752 0.4754 0.7697
C 0.5246 0.2998 0.7697
C 0.7002 0.2248 0.7697
C 0.2248 0.5246 0.2697
C 0.4754 0.7002 0.2697
C 0.2998 0.7752 0.2697
C 0.7828 0.5941 0.8474
C 0.4059 0.1887 0.8474
C 0.8113 0.2172 0.8474
C 0.2172 0.4059 0.3474
C 0.5941 0.8113 0.3474
C 0.1887 0.7828 0.3474
C 0.7689 0.6674 0.0486
C 0.3326 0.1015 0.0486
C 0.8985 0.2311 0.0486
C 0.2311 0.3326 0.5486
C 0.6674 0.8985 0.5486
C 0.1015 0.7689 0.5486
C 0.9469 0.6096 0.0022
C 0.3904 0.3373 0.0022
C 0.6627 0.0531 0.0022
C 0.0531 0.3904 0.5022
C 0.6096 0.6627 0.5022
C 0.3373 0.9469 0.5022
N 0.6667 0.3333 0.8104
N 0.3333 0.6667 0.3104
N 0.8011 0.5751 0.9754
N 0.4249 0.2260 0.9754
N 0.7740 0.1989 0.9754
N 0.1989 0.4249 0.4754
N 0.5751 0.7740 0.4754
N 0.2260 0.8011 0.4754
CELL_PARAMETERS angstrom
5.4464 -9.4334 0.0000
5.4464 9.4334 0.0000
0.0000 0.0000 11.1537
```

Summary:
SG: No. 173
calculated total energy: -543.23 eV/cell
ΔE_f: -0.153 eV per atom
magnetization: 0.00 Bohr magnetons per cell

---

DFT (GGA-PBE) results for a geometry-optimized CuPb2I3O2 structure. Values from VASP.

Quantum ESPRESSO input file:
```
&SYSTEM
  ibrav = 0, nat = 64, ntyp = 4
/
ATOMIC_SPECIES
Cu 63.55 Cu.upf
Pb 207.20 Pb.upf
I 126.90 I.upf
O 16.00 O.upf
ATOMIC_POSITIONS crystal
Cu 0.4423 0.0577 0.4423
Cu 0.0577 0.4423 0.0577
Cu 0.8077 0.1923 0.8077
Cu 0.1923 0.8077 0.1923
Cu 0.5845 0.9155 0.5845
Cu 0.9155 0.5845 0.9155
Cu 0.6655 0.3345 0.6655
Cu 0.3345 0.6655 0.3345
Pb 0.6498 0.0095 0.8449
Pb 0.4958 0.8449 0.0095
Pb 0.0095 0.6498 0.4958
Pb 0.8449 0.4958 0.6498
Pb 0.6002 0.2405 0.4051
Pb 0.7542 0.4051 0.2405
Pb 0.2405 0.6002 0.7542
Pb 0.4051 0.7542 0.6002
Pb 0.5189 0.9864 0.1467
Pb 0.3480 0.1467 0.9864
Pb 0.9864 0.5189 0.3480
Pb 0.1467 0.3480 0.5189
Pb 0.7311 0.2636 0.1033
Pb 0.9020 0.1033 0.2636
Pb 0.2636 0.7311 0.9020
Pb 0.1033 0.9020 0.7311
I 0.4479 0.2296 0.2772
I 0.0453 0.2772 0.2296
I 0.2296 0.4479 0.0453
I 0.2772 0.0453 0.4479
I 0.8021 0.0204 0.9728
I 0.2047 0.9728 0.0204
I 0.0204 0.8021 0.2047
I 0.9728 0.2047 0.8021
I 0.9520 0.7453 0.7496
I 0.5530 0.7496 0.7453
I 0.7453 0.9520 0.5530
I 0.7496 0.5530 0.9520
I 0.2980 0.5047 0.5004
I 0.6970 0.5004 0.5047
I 0.5047 0.2980 0.6970
I 0.5004 0.6970 0.2980
I 0.6030 0.3656 0.8742
I 0.1571 0.8742 0.3656
I 0.3656 0.6030 0.1571
I 0.8742 0.1571 0.6030
I 0.6470 0.8844 0.3758
I 0.0929 0.3758 0.8844
I 0.8844 0.6470 0.0929
I 0.3758 0.0929 0.6470
O 0.5055 0.1260 0.9900
O 0.3785 0.9900 0.1260
O 0.1260 0.5055 0.3785
O 0.9900 0.3785 0.5055
O 0.7445 0.1240 0.2600
O 0.8715 0.2600 0.1240
O 0.1240 0.7445 0.8715
O 0.2600 0.8715 0.7445
O 0.6353 0.8690 0.0028
O 0.4930 0.0028 0.8690
O 0.8690 0.6353 0.4930
O 0.0028 0.4930 0.6353
O 0.6147 0.3810 0.2472
O 0.7570 0.2472 0.3810
O 0.3810 0.6147 0.7570
O 0.2472 0.7570 0.6147
CELL_PARAMETERS angstrom
8.0807 0.5099 12.9317
2.3199 11.6530 7.5175
-5.9447 -0.2473 12.2991
```

Summary:
SG: No. 70
calculated total energy: -237.07 eV/cell
ΔE_f: -0.627 eV per atom
magnetization: 0.58 Bohr magnetons per cell

---

DFT (GGA-PBE) results for a geometry-optimized Na2Ca2Al6Si9H16O38 structure. Values from VASP.

Quantum ESPRESSO input file:
```
&SYSTEM
  ibrav = 0, nat = 146, ntyp = 6
/
ATOMIC_SPECIES
Na 22.99 Na.upf
Ca 40.08 Ca.upf
Al 26.98 Al.upf
Si 28.09 Si.upf
H 1.01 H.upf
O 16.00 O.upf
ATOMIC_POSITIONS crystal
Na 0.1745 0.4331 0.9780
Na 0.5856 0.5669 0.0220
Na 0.3576 0.0669 0.4780
Na 0.9025 0.9331 0.5220
Ca 0.2285 0.9549 0.8455
Ca 0.0289 0.0451 0.1545
Ca 0.9334 0.5451 0.3455
Ca 0.8240 0.4549 0.6545
Al 0.3536 0.0748 0.9396
Al 0.3681 0.9252 0.0604
Al 0.1784 0.4252 0.4396
Al 0.0432 0.5748 0.5604
Al 0.5520 0.4021 0.7758
Al 0.7298 0.5979 0.2242
Al 0.7041 0.0979 0.2758
Al 0.0778 0.9021 0.7242
Al 0.4069 0.5731 0.8955
Al 0.8755 0.4269 0.1045
Al 0.7301 0.9269 0.3955
Al 0.0524 0.0731 0.6045
Si 0.7486 0.0000 0.0000
Si 0.4986 0.5000 0.5000
Si 0.8531 0.5095 0.8362
Si 0.1988 0.4905 0.1638
Si 0.1126 0.9905 0.3362
Si 0.4393 0.0095 0.6638
Si 0.2300 0.8109 0.9710
Si 0.0118 0.1891 0.0290
Si 0.7909 0.6891 0.4710
Si 0.9509 0.3109 0.5290
Si 0.1616 0.6743 0.8058
Si 0.6418 0.3257 0.1942
Si 0.5859 0.8257 0.3058
Si 0.7175 0.1743 0.6942
Si 0.3154 0.3050 0.8607
Si 0.4810 0.6950 0.1393
Si 0.3703 0.1950 0.3607
Si 0.9260 0.8050 0.6393
H 0.7772 0.0569 0.9006
H 0.7347 0.9431 0.0994
H 0.5841 0.4431 0.4006
H 0.4279 0.5569 0.5994
H 0.7586 0.1317 0.8512
H 0.7416 0.8683 0.1488
H 0.6404 0.3683 0.3512
H 0.3598 0.6317 0.6488
H 0.7078 0.8106 0.8123
H 0.3308 0.1894 0.1877
H 0.2684 0.6894 0.3123
H 0.2702 0.3106 0.6877
H 0.6381 0.9584 0.7860
H 0.3825 0.0416 0.2140
H 0.3465 0.5416 0.2860
H 0.1741 0.4584 0.7140
H 0.7904 0.5912 0.9322
H 0.3139 0.4088 0.0678
H 0.1317 0.9088 0.4322
H 0.4727 0.0912 0.5678
H 0.8623 0.6957 0.9626
H 0.5206 0.3043 0.0374
H 0.3080 0.8043 0.4626
H 0.5749 0.1957 0.5374
H 0.0846 0.2341 0.7921
H 0.1108 0.7659 0.2079
H 0.0688 0.2659 0.2921
H 0.6267 0.7341 0.7079
H 0.1951 0.1076 0.7544
H 0.0570 0.8924 0.2456
H 0.0527 0.3924 0.2544
H 0.6994 0.6076 0.7456
O 0.6881 0.5438 0.8843
O 0.1161 0.4562 0.1157
O 0.9818 0.9562 0.3843
O 0.3224 0.0438 0.6157
O 0.7401 0.4770 0.7930
O 0.0101 0.5230 0.2070
O 0.9671 0.0230 0.2930
O 0.2831 0.9770 0.7070
O 0.6185 0.0367 0.9540
O 0.6092 0.9633 0.0460
O 0.4052 0.4633 0.4540
O 0.3225 0.5367 0.5460
O 0.3261 0.1501 0.8839
O 0.3601 0.8499 0.1161
O 0.2262 0.3499 0.3839
O 0.9600 0.6501 0.6161
O 0.1151 0.8298 0.7805
O 0.7254 0.1702 0.2195
O 0.6948 0.6702 0.2805
O 0.6456 0.3298 0.7195
O 0.3134 0.6472 0.9516
O 0.9122 0.3528 0.0484
O 0.7105 0.8528 0.4516
O 0.0150 0.1472 0.5484
O 0.2732 0.6927 0.8525
O 0.8185 0.3073 0.1475
O 0.7160 0.8073 0.3525
O 0.8758 0.1927 0.6475
O 0.5077 0.2783 0.8178
O 0.6039 0.7217 0.1822
O 0.5360 0.2217 0.3178
O 0.0755 0.7783 0.6822
O 0.1792 0.1871 0.9830
O 0.3494 0.8129 0.0170
O 0.1164 0.3129 0.4830
O 0.9122 0.6871 0.5170
O 0.2823 0.9202 0.9306
O 0.1331 0.0798 0.0694
O 0.9525 0.5798 0.4306
O 0.9629 0.4202 0.5694
O 0.3036 0.5404 0.7729
O 0.6170 0.4596 0.2271
O 0.5941 0.9596 0.2729
O 0.8265 0.0404 0.7271
O 0.3391 0.4148 0.8991
O 0.6530 0.5852 0.1009
O 0.5040 0.0852 0.3991
O 0.9882 0.9148 0.6009
O 0.0724 0.3734 0.8423
O 0.2882 0.6266 0.1577
O 0.1958 0.1266 0.3423
O 0.6647 0.8734 0.6577
O 0.9233 0.6540 0.8232
O 0.4006 0.3460 0.1768
O 0.3273 0.8460 0.3232
O 0.4965 0.1540 0.6768
O 0.9656 0.8600 0.9858
O 0.8114 0.1400 0.0142
O 0.5756 0.6400 0.4858
O 0.7014 0.3600 0.5142
O 0.8616 0.0668 0.8708
O 0.7992 0.9332 0.1292
O 0.6784 0.4332 0.3708
O 0.4824 0.5668 0.6292
O 0.5806 0.8925 0.8050
O 0.2781 0.1075 0.1950
O 0.2232 0.6075 0.3050
O 0.1356 0.3925 0.6950
O 0.8407 0.6025 0.9628
O 0.4059 0.3975 0.0372
O 0.1932 0.8975 0.4628
O 0.5535 0.1025 0.5372
O 0.1433 0.1307 0.7875
O 0.0615 0.8693 0.2125
O 0.0240 0.3693 0.2875
O 0.6809 0.6307 0.7125
CELL_PARAMETERS angstrom
0.0000 0.0000 6.6042
9.3292 0.0000 3.3021
0.0000 28.6584 3.3021
```

Summary:
SG: No. 43
calculated total energy: -974.89 eV/cell
ΔE_f: -2.648 eV per atom
relative energy among the computed polymorphs: 0 meV/atom
magnetization: 0.00 Bohr magnetons per cell

---

DFT (GGA-PBE) results for a geometry-optimized Sm4Ti4S4O9 structure. Values from VASP.

Quantum ESPRESSO input file:
```
&SYSTEM
  ibrav = 0, nat = 21, ntyp = 4
/
ATOMIC_SPECIES
Sm 150.36 Sm.upf
Ti 47.87 Ti.upf
S 32.06 S.upf
O 16.00 O.upf
ATOMIC_POSITIONS crystal
Sm 0.8667 0.8667 0.8237
Sm 0.1410 0.1410 0.1606
Sm 0.1563 0.1563 0.6895
Sm 0.8428 0.8428 0.3120
Ti 0.8804 0.8804 0.5420
Ti 0.1164 0.1164 0.4652
Ti 0.4354 0.4354 0.9666
Ti 0.5646 0.5646 0.0321
S 0.2955 0.2955 0.7303
S 0.6892 0.6892 0.2842
S 0.4609 0.4609 0.3496
S 0.5444 0.5444 0.6586
O 0.7681 0.7681 0.5593
O 0.2330 0.2330 0.4398
O 0.5899 0.5899 0.8648
O 0.4092 0.4092 0.1364
O 0.3227 0.3227 0.9757
O 0.6795 0.6795 0.0179
O 0.9609 0.9609 0.9054
O 0.0373 0.0373 0.0986
O 0.9843 0.9843 0.5404
CELL_PARAMETERS angstrom
1.8523 9.0705 0.0000
-1.8523 9.0705 0.0000
0.0000 8.8461 9.2508
```

Summary:
SG: No. 8
calculated total energy: -170.82 eV/cell
ΔE_f: -3.214 eV per atom
magnetization: 0.59 Bohr magnetons per cell

---

Question: Number 1 is which compound?
Answer: LiAlH34C12N4